No. 1
Density functional theory data (meta-GGA r2SCAN) for a geometry-optimized PaCdPt2 structure.

Computed properties:
The calculated formation energy is -3.24 eV per formula unit.

Unit cell a=4.8202 b=4.8202 c=4.8202 alpha=60.00 beta=60.00 gamma=60.00
Last column: nearest neighbours and their distance in Å.
Fractional coordinates of all 4 atoms:
1 Pa 0.0000 0.0000 0.0000  8 Pt 2.95
2 Cd 0.5000 0.5000 0.5000  8 Pt 2.95
3 Pt 0.2500 0.2500 0.2500  4 Cd 2.95, 4 Pa 2.95
4 Pt 0.7500 0.7500 0.7500  4 Cd 2.95, 4 Pa 2.95

***

No. 2
Density functional theory data (meta-GGA r2SCAN) for a geometry-optimized K2GeF6 structure.

Computed properties:
The calculated formation energy is -26.70 eV per formula unit.

Unit cell a=5.6850 b=5.6850 c=9.2268 alpha=90.00 beta=90.00 gamma=120.00
Last column: nearest neighbours and their distance in Å.
Fractional coordinates of all 18 atoms:
1 K 0.0000 0.0000 0.0000  12 F 2.78-3.04
2 K 0.0000 0.0000 0.5000  12 F 2.78-3.04
3 K 0.3333 0.6667 0.2761  12 F 2.80-2.88
4 K 0.6667 0.3333 0.7761  12 F 2.80-2.88
5 Ge 0.3333 0.6667 0.6601  6 F 1.81
6 Ge 0.6667 0.3333 0.1601  6 F 1.81
7 F 0.0354 0.5177 0.5446  1 Ge 1.81
8 F 0.1802 0.3604 0.7682  1 Ge 1.81
9 F 0.1802 0.8198 0.7682  1 Ge 1.81
10 F 0.3604 0.1802 0.2682  1 Ge 1.81
11 F 0.4823 0.5177 0.5446  1 Ge 1.81
12 F 0.4823 0.9646 0.5446  1 Ge 1.81
13 F 0.5177 0.0354 0.0446  1 Ge 1.81
14 F 0.5177 0.4823 0.0446  1 Ge 1.81
15 F 0.6396 0.8198 0.7682  1 Ge 1.81
16 F 0.8198 0.1802 0.2682  1 Ge 1.81
17 F 0.8198 0.6396 0.2682  1 Ge 1.81
18 F 0.9646 0.4823 0.0446  1 Ge 1.81

***

No. 3
Density functional theory data (meta-GGA r2SCAN) for a geometry-optimized Rb2Nb3Br9 structure.

Computed properties:
The calculated formation energy is -18.90 eV per formula unit.

Unit cell a=10.4615 b=10.4615 c=10.3387 alpha=103.44 beta=103.44 gamma=116.31
Last column: nearest neighbours and their distance in Å.
Fractional coordinates of all 28 atoms:
1 Rb 0.0537 0.7349 0.6758  5 Br 3.31-3.67
2 Rb 0.2651 0.9463 0.3242  5 Br 3.31-3.67
3 Rb 0.7349 0.0537 0.6758  5 Br 3.31-3.67
4 Rb 0.9463 0.2651 0.3242  5 Br 3.31-3.67
5 Nb 0.2882 0.4554 0.8648  5 Br 2.61-2.86
6 Nb 0.3897 0.3897 0.1230  5 Br 2.62-2.81
7 Nb 0.4554 0.2882 0.8648  5 Br 2.61-2.86
8 Nb 0.5446 0.7118 0.1352  5 Br 2.61-2.86
9 Nb 0.6103 0.6103 0.8770  5 Br 2.62-2.81
10 Nb 0.7118 0.5446 0.1352  5 Br 2.61-2.86
11 Br 0.9995 0.3941 0.6804  1 Nb 2.86
12 Br 0.0005 0.6059 0.3196  1 Nb 2.86
13 Br 0.1049 0.3119 0.9854  2 Nb 2.63
14 Br 0.1836 0.1836 0.6690  2 Nb 2.63
15 Br 0.2419 0.2419 0.2855  1 Nb 2.81
16 Br 0.2945 0.7055 0.0000  2 Nb 2.63
17 Br 0.3119 0.1049 0.9854  2 Nb 2.63
18 Br 0.3749 0.5800 0.6853  2 Nb 2.61-2.62
19 Br 0.3941 0.9995 0.6804  1 Nb 2.86
20 Br 0.4200 0.6251 0.3147  2 Nb 2.61-2.62
21 Br 0.5800 0.3749 0.6853  2 Nb 2.61-2.62
22 Br 0.6059 0.0005 0.3196  1 Nb 2.86
23 Br 0.6251 0.4200 0.3147  2 Nb 2.61-2.62
24 Br 0.6881 0.8951 0.0146  2 Nb 2.63
25 Br 0.7055 0.2945 0.0000  2 Nb 2.63
26 Br 0.7581 0.7581 0.7145  1 Nb 2.81
27 Br 0.8164 0.8164 0.3310  2 Nb 2.63
28 Br 0.8951 0.6881 0.0146  2 Nb 2.63

***

No. 4
Density functional theory data (meta-GGA r2SCAN) for a geometry-optimized BaEr2Te4 structure.

Computed properties:
The calculated formation energy is -12.56 eV per formula unit.

Unit cell a=13.7437 b=4.4525 c=16.1727 alpha=90.00 beta=90.00 gamma=90.00
Last column: nearest neighbours and their distance in Å.
Fractional coordinates of all 28 atoms:
1 Ba 0.2386 0.2500 0.1697  8 Te 3.55-3.73
2 Ba 0.2614 0.7500 0.6697  8 Te 3.55-3.73
3 Ba 0.7386 0.2500 0.3303  8 Te 3.55-3.73
4 Ba 0.7614 0.7500 0.8303  8 Te 3.55-3.73
5 Er 0.0585 0.2500 0.3900  6 Te 3.03-3.09
6 Er 0.0809 0.2500 0.9032  6 Te 3.03-3.12
7 Er 0.4191 0.7500 0.4032  6 Te 3.03-3.12
8 Er 0.4415 0.7500 0.8900  6 Te 3.03-3.09
9 Er 0.5585 0.2500 0.1100  6 Te 3.03-3.09
10 Er 0.5809 0.2500 0.5968  6 Te 3.03-3.12
11 Er 0.9191 0.7500 0.0968  6 Te 3.03-3.12
12 Er 0.9415 0.7500 0.6100  6 Te 3.03-3.09
13 Te 0.0275 0.7500 0.7843  3 Er 3.03-3.06
14 Te 0.0893 0.2500 0.5753  3 Er 3.03-3.07
15 Te 0.1253 0.7500 0.0280  3 Er 3.05-3.07
16 Te 0.2042 0.7500 0.3417  3 Er 3.09-3.12
17 Te 0.2958 0.2500 0.8417  3 Er 3.09-3.12
18 Te 0.3747 0.2500 0.5280  3 Er 3.05-3.07
19 Te 0.4107 0.7500 0.0753  3 Er 3.03-3.07
20 Te 0.4725 0.2500 0.2843  3 Er 3.03-3.06
21 Te 0.5275 0.7500 0.7157  3 Er 3.03-3.06
22 Te 0.5893 0.2500 0.9247  3 Er 3.03-3.07
23 Te 0.6253 0.7500 0.4720  3 Er 3.05-3.07
24 Te 0.7042 0.7500 0.1583  3 Er 3.09-3.12
25 Te 0.7958 0.2500 0.6583  3 Er 3.09-3.12
26 Te 0.8747 0.2500 0.9720  3 Er 3.05-3.07
27 Te 0.9107 0.7500 0.4247  3 Er 3.03-3.07
28 Te 0.9725 0.2500 0.2157  3 Er 3.03-3.06

***

No. 5
Density functional theory data (meta-GGA r2SCAN) for a geometry-optimized Zr2TlC structure.

Computed properties:
The calculated formation energy is -3.05 eV per formula unit.

Unit cell a=3.3807 b=3.3807 c=14.9904 alpha=90.00 beta=90.00 gamma=120.00
Last column: nearest neighbours and their distance in Å.
Fractional coordinates of all 8 atoms:
1 Zr 0.3333 0.6667 0.0820  3 C 2.31
2 Zr 0.3333 0.6667 0.4180  3 C 2.31
3 Zr 0.6667 0.3333 0.5820  3 C 2.31
4 Zr 0.6667 0.3333 0.9180  3 C 2.31
5 Tl 0.3333 0.6667 0.7500  6 Zr 3.19, 6 Tl 3.38
6 Tl 0.6667 0.3333 0.2500  6 Zr 3.19, 6 Tl 3.38
7 C 0.0000 0.0000 0.0000  6 Zr 2.31
8 C 0.0000 0.0000 0.5000  6 Zr 2.31

***

No. 6
Density functional theory data (meta-GGA r2SCAN) for a geometry-optimized TbReB4 structure.

Computed properties:
The calculated formation energy is -3.85 eV per formula unit.

Unit cell a=5.9787 b=11.5583 c=3.6188 alpha=90.00 beta=90.00 gamma=90.00
Last column: nearest neighbours and their distance in Å.
Fractional coordinates of all 24 atoms:
1 Tb 0.1263 0.1503 0.0000  14 B 2.67-2.81
2 Tb 0.3737 0.6503 0.0000  14 B 2.67-2.81
3 Tb 0.6263 0.3497 0.0000  14 B 2.67-2.81
4 Tb 0.8737 0.8497 0.0000  14 B 2.67-2.81
5 Re 0.1326 0.4130 0.0000  10 B 2.32-2.39, 1 Re 2.56
6 Re 0.3674 0.9130 0.0000  10 B 2.32-2.39, 1 Re 2.56
7 Re 0.6326 0.0870 0.0000  10 B 2.32-2.39, 1 Re 2.56
8 Re 0.8674 0.5870 0.0000  10 B 2.32-2.39, 1 Re 2.56
9 B 0.0231 0.6916 0.5000  3 B 1.76-1.85
10 B 0.1136 0.5471 0.5000  3 B 1.74-1.76
11 B 0.1374 0.9685 0.5000  3 B 1.74-1.83
12 B 0.2133 0.8155 0.5000  3 B 1.83-1.85
13 B 0.2867 0.3155 0.5000  3 B 1.83-1.85
14 B 0.3626 0.4685 0.5000  3 B 1.74-1.83
15 B 0.3864 0.0471 0.5000  3 B 1.74-1.76
16 B 0.4769 0.1916 0.5000  3 B 1.76-1.85
17 B 0.5231 0.8084 0.5000  3 B 1.76-1.85
18 B 0.6136 0.9529 0.5000  3 B 1.74-1.76
19 B 0.6374 0.5315 0.5000  3 B 1.74-1.83
20 B 0.7133 0.6845 0.5000  3 B 1.83-1.85
21 B 0.7867 0.1845 0.5000  3 B 1.83-1.85
22 B 0.8626 0.0315 0.5000  3 B 1.74-1.83
23 B 0.8864 0.4529 0.5000  3 B 1.74-1.76
24 B 0.9769 0.3084 0.5000  3 B 1.76-1.85

***

No. 7
Density functional theory data (meta-GGA r2SCAN) for a geometry-optimized Y5Si2Sb2 structure.

Computed properties:
The calculated formation energy is -9.64 eV per formula unit.

Unit cell a=8.5290 b=8.5290 c=7.8943 alpha=90.00 beta=90.00 gamma=55.03
Last column: nearest neighbours and their distance in Å.
Fractional coordinates of all 18 atoms:
1 Y 0.0000 0.0000 0.0000  4 Si 3.07-3.09, 2 Sb 3.10
2 Y 0.0386 0.7096 0.6644  3 Si 2.95-3.04, 3 Sb 3.15-3.18
3 Y 0.2096 0.5386 0.1644  3 Si 2.95-3.04, 3 Sb 3.15-3.18
4 Y 0.2904 0.9614 0.6644  3 Si 2.95-3.04, 3 Sb 3.15-3.18
5 Y 0.4614 0.7904 0.1644  3 Si 2.95-3.04, 3 Sb 3.15-3.18
6 Y 0.5000 0.5000 0.5000  4 Si 3.07-3.09, 2 Sb 3.10
7 Y 0.5386 0.2096 0.8356  3 Si 2.95-3.04, 3 Sb 3.15-3.18
8 Y 0.7096 0.0386 0.3356  3 Si 2.95-3.04, 3 Sb 3.15-3.18
9 Y 0.7904 0.4614 0.8356  3 Si 2.95-3.04, 3 Sb 3.15-3.18
10 Y 0.9614 0.2904 0.3356  3 Si 2.95-3.04, 3 Sb 3.15-3.18
11 Si 0.1343 0.8657 0.3671  8 Y 2.95-3.09, 1 Si 2.98
12 Si 0.3657 0.6343 0.8671  8 Y 2.95-3.09, 1 Si 2.98
13 Si 0.6343 0.3657 0.1329  8 Y 2.95-3.09, 1 Si 2.98
14 Si 0.8657 0.1343 0.6329  8 Y 2.95-3.09, 1 Si 2.98
15 Sb 0.2048 0.2048 0.0000  7 Y 3.10-3.18
16 Sb 0.2952 0.2952 0.5000  7 Y 3.10-3.18
17 Sb 0.7048 0.7048 0.5000  7 Y 3.10-3.18
18 Sb 0.7952 0.7952 0.0000  7 Y 3.10-3.18

***

No. 8
Density functional theory data (meta-GGA r2SCAN) for a geometry-optimized BaY2Si3O10 structure.

Computed properties:
The calculated formation energy is -55.20 eV per formula unit.

Unit cell a=5.4195 b=12.1985 c=6.8695 alpha=90.00 beta=106.52 gamma=90.00
Last column: nearest neighbours and their distance in Å.
Fractional coordinates of all 32 atoms:
1 Ba 0.2407 0.2500 0.4813  6 O 2.72-2.98
2 Ba 0.7593 0.7500 0.5187  6 O 2.72-2.98
3 Y 0.1575 0.5991 0.1838  6 O 2.20-2.36
4 Y 0.1575 0.9009 0.1838  6 O 2.20-2.36
5 Y 0.8425 0.0991 0.8162  6 O 2.20-2.36
6 Y 0.8425 0.4009 0.8162  6 O 2.20-2.36
7 Si 0.3046 0.5611 0.7134  4 O 1.61-1.68
8 Si 0.3046 0.9389 0.7134  4 O 1.61-1.68
9 Si 0.4183 0.2500 0.0124  4 O 1.61-1.64
10 Si 0.5817 0.7500 0.9876  4 O 1.61-1.64
11 Si 0.6954 0.0611 0.2866  4 O 1.61-1.68
12 Si 0.6954 0.4389 0.2866  4 O 1.61-1.68
13 O 0.1040 0.5503 0.8519  1 Si 1.64
14 O 0.1040 0.9497 0.8519  1 Si 1.64
15 O 0.1250 0.2500 0.8667  1 Si 1.62
16 O 0.1636 0.6222 0.5029  1 Si 1.61
17 O 0.1636 0.8778 0.5029  1 Si 1.61
18 O 0.3708 0.7500 0.1128  1 Si 1.61
19 O 0.4335 0.0549 0.6905  1 Si 1.61
20 O 0.4335 0.4451 0.6905  1 Si 1.61
21 O 0.4528 0.1428 0.1621  2 Si 1.64-1.68
22 O 0.4528 0.3572 0.1621  2 Si 1.64-1.68
23 O 0.5472 0.6428 0.8379  2 Si 1.64-1.68
24 O 0.5472 0.8572 0.8379  2 Si 1.64-1.68
25 O 0.5665 0.5549 0.3095  1 Si 1.61
26 O 0.5665 0.9451 0.3095  1 Si 1.61
27 O 0.6292 0.2500 0.8872  1 Si 1.61
28 O 0.8364 0.1222 0.4971  1 Si 1.61
29 O 0.8364 0.3778 0.4971  1 Si 1.61
30 O 0.8750 0.7500 0.1333  1 Si 1.62
31 O 0.8960 0.0503 0.1481  1 Si 1.64
32 O 0.8960 0.4497 0.1481  1 Si 1.64

***

No. 9
Density functional theory data (meta-GGA r2SCAN) for a geometry-optimized Ta2SnO6 structure.

Computed properties:
The calculated formation energy is -24.71 eV per formula unit.

Unit cell a=8.9764 b=8.9764 c=5.5623 alpha=91.31 beta=91.31 gamma=31.51
Last column: nearest neighbours and their distance in Å.
Fractional coordinates of all 18 atoms:
1 Ta 0.2433 0.7567 0.5000  4 O 1.88-2.00
2 Ta 0.4170 0.9036 0.1739  4 O 1.87-2.00
3 Ta 0.7567 0.2433 0.0000  4 O 1.88-2.00
4 Ta 0.9036 0.4170 0.6739  4 O 1.87-2.00
5 Sn 0.0605 0.5997 0.0860  4 O 2.16-2.39
6 Sn 0.5997 0.0605 0.5860  4 O 2.16-2.39
7 O 0.1113 0.9868 0.1888  3 Ta 2.00-2.15
8 O 0.1456 0.2268 0.4088  2 Ta 1.87-1.99
9 O 0.2268 0.1456 0.9088  2 Ta 1.87-1.99
10 O 0.4333 0.5152 0.7656  2 Ta 1.88-1.99
11 O 0.5152 0.4333 0.2656  2 Ta 1.88-1.99
12 O 0.5493 0.6735 0.4853  3 Ta 2.00-2.15
13 O 0.6735 0.5493 0.9853  3 Ta 2.00-2.15
14 O 0.6778 0.8370 0.2426  1 Ta 1.89
15 O 0.8234 0.9826 0.9310  1 Ta 1.89
16 O 0.8370 0.6778 0.7426  1 Ta 1.89
17 O 0.9826 0.8234 0.4310  1 Ta 1.89
18 O 0.9868 0.1113 0.6888  3 Ta 2.00-2.15

***

No. 10
Density functional theory data (meta-GGA r2SCAN) for a geometry-optimized Ho2Co3Si5 structure.

Computed properties:
The calculated formation energy is -7.24 eV per formula unit.

Unit cell a=7.8119 b=7.8119 c=5.4946 alpha=110.52 beta=110.52 gamma=91.63
Last column: nearest neighbours and their distance in Å.
Fractional coordinates of all 20 atoms:
1 Ho 0.0997 0.3679 0.2339  10 Si 2.82-3.06, 3 Co 2.95-2.99
2 Ho 0.3679 0.0997 0.7339  10 Si 2.82-3.06, 3 Co 2.95-2.99
3 Ho 0.6321 0.9003 0.2661  10 Si 2.82-3.06, 3 Co 2.95-2.99
4 Ho 0.9003 0.6321 0.7661  10 Si 2.82-3.06, 3 Co 2.95-2.99
5 Co 0.0302 0.7537 0.3911  5 Si 2.24-2.31
6 Co 0.2463 0.9698 0.1089  5 Si 2.24-2.31
7 Co 0.4998 0.5002 0.2500  6 Si 2.31-2.54
8 Co 0.5002 0.4998 0.7500  6 Si 2.31-2.54
9 Co 0.7537 0.0302 0.8911  5 Si 2.24-2.31
10 Co 0.9698 0.2463 0.6089  5 Si 2.24-2.31
11 Si 0.9996 0.0004 0.2500  4 Co 2.31
12 Si 0.0004 0.9996 0.7500  4 Co 2.31
13 Si 0.2419 0.4423 0.8422  3 Co 2.24-2.32, 2 Si 2.47
14 Si 0.2732 0.7268 0.7500  3 Co 2.29-2.54, 2 Si 2.47
15 Si 0.2737 0.7263 0.2500  3 Co 2.28-2.53, 2 Si 2.47
16 Si 0.4423 0.2419 0.3422  3 Co 2.24-2.32, 2 Si 2.47
17 Si 0.5577 0.7581 0.6578  3 Co 2.24-2.32, 2 Si 2.47
18 Si 0.7263 0.2737 0.7500  3 Co 2.28-2.53, 2 Si 2.47
19 Si 0.7268 0.2732 0.2500  3 Co 2.29-2.54, 2 Si 2.47
20 Si 0.7581 0.5577 0.1578  3 Co 2.24-2.32, 2 Si 2.47

***

No. 11
Density functional theory data (meta-GGA r2SCAN) for a geometry-optimized TcB2 structure.

Computed properties:
The calculated formation energy is -1.42 eV per formula unit.

Unit cell a=2.8907 b=2.8907 c=7.4353 alpha=90.00 beta=90.00 gamma=120.00
Last column: nearest neighbours and their distance in Å.
Fractional coordinates of all 6 atoms:
1 Tc 0.3333 0.6667 0.2500  8 B 2.22-2.25
2 Tc 0.6667 0.3333 0.7500  8 B 2.22-2.25
3 B 0.3333 0.6667 0.5480  3 B 1.81
4 B 0.3333 0.6667 0.9520  3 B 1.81
5 B 0.6667 0.3333 0.0480  3 B 1.81
6 B 0.6667 0.3333 0.4520  3 B 1.81

***

No. 12
Density functional theory data (meta-GGA r2SCAN) for a geometry-optimized YbScRh2 structure.

Computed properties:
The calculated formation energy is -4.24 eV per formula unit.

Unit cell a=4.6377 b=4.6377 c=4.6377 alpha=60.00 beta=60.00 gamma=60.00
Last column: nearest neighbours and their distance in Å.
Fractional coordinates of all 4 atoms:
1 Yb 0.0000 0.0000 0.0000  8 Rh 2.84
2 Sc 0.5000 0.5000 0.5000  8 Rh 2.84
3 Rh 0.2500 0.2500 0.2500  4 Sc 2.84, 4 Yb 2.84
4 Rh 0.7500 0.7500 0.7500  4 Sc 2.84, 4 Yb 2.84

***

Number 1: calculated volume 79 Å³ per cell. Number 2: calculated volume 258 Å³ per cell. Number 3: calculated volume 911 Å³ per cell. Number 4: calculated volume 990 Å³ per cell. Number 5: calculated volume 148 Å³ per cell. Number 6: calculated volume 250 Å³ per cell. Number 7: calculated volume 471 Å³ per cell. Number 8: calculated volume 435 Å³ per cell. Number 9: calculated volume 234 Å³ per cell. Number 10: calculated volume 290 Å³ per cell. Number 11: calculated volume 54 Å³ per cell. Number 12: calculated volume 71 Å³ per cell.